Material: Na4ScNb3Si5SO24
Method: DFT, PBE
State: optimized geometry

Cell lengths 9.024, 9.013, 22.869 Å; angles 90.16, 90.11, 119.92 degrees
Positions (direct):
Nb  0.345  0.678  0.519
O  0.836  0.818  0.590
Si  0.957  0.624  0.084
Nb  0.008  0.013  0.144
O  0.026  0.190  0.910
Na  0.667  0.333  0.834
Na  0.027  0.340  0.084
Si  0.286  0.287  0.750
O  0.505  0.362  0.424
Na  0.326  0.029  0.417
O  0.707  0.170  0.027
O  0.793  0.816  0.196
Nb  0.660  0.341  0.477
O  0.811  0.837  0.910
O  0.302  0.478  0.757
O  0.158  0.197  0.694
O  0.186  0.165  0.091
O  0.307  0.475  0.474
O  0.025  0.196  0.192
O  0.538  0.700  0.254
O  0.168  0.692  0.473
O  0.475  0.309  0.747
Si  0.997  0.295  0.252
Nb  0.322  0.654  0.317
O  0.493  0.863  0.359
O  0.504  0.639  0.859
O  0.177  0.698  0.756
O  0.630  0.122  0.141
O  0.836  0.028  0.807
O  0.306  0.841  0.253
S  0.958  0.334  0.583
O  0.209  0.018  0.304
Si  0.329  0.377  0.418
Na  0.374  0.007  0.747
O  0.470  0.302  0.026
O  0.640  0.495  0.923
O  0.135  0.631  0.360
O  0.833  0.319  0.246
O  0.177  0.184  0.412
Si  0.384  0.335  0.084
Sc  0.656  0.330  0.685
O  0.472  0.163  0.526
S  0.290  0.000  0.251
O  0.835  0.020  0.092
O  0.980  0.175  0.306
Si  0.334  0.960  0.916
Na  0.662  0.690  0.084
Nb  0.667  0.334  0.978
Na  0.006  0.997  0.996
O  0.038  0.837  0.694
O  0.815  0.792  0.302
O  0.131  0.487  0.577
Si  0.664  0.625  0.585
O  0.505  0.846  0.075
Na  0.993  0.364  0.749
Nb  0.002  0.990  0.646
O  0.162  0.468  0.974
Na  0.992  0.996  0.496
O  0.848  0.309  0.531
O  0.884  0.360  0.638
O  0.694  0.169  0.746
O  0.971  0.813  0.093
O  0.179  0.486  0.256
O  0.500  0.379  0.141
O  0.836  0.521  0.745
Si  0.625  0.666  0.917
O  0.831  0.536  0.027
O  0.361  0.865  0.858
O  0.881  0.502  0.139
O  0.532  0.693  0.975
O  0.348  0.497  0.074
Si  0.660  0.043  0.084
Si  0.713  0.000  0.750
O  0.856  0.489  0.426
O  0.136  0.497  0.859
O  0.693  0.527  0.528
S  0.709  0.711  0.250
O  0.855  0.360  0.924
O  0.307  0.834  0.972
O  0.804  0.964  0.694
Si  0.626  0.958  0.415
O  0.364  0.501  0.360
O  0.638  0.518  0.644
Na  0.339  0.671  0.663
Sc  0.991  0.007  0.357
Na  0.331  0.672  0.168
O  0.526  0.837  0.472
O  0.970  0.806  0.806
O  0.035  0.837  0.409
Si  0.042  0.377  0.917
O  0.191  0.163  0.806
O  0.974  0.177  0.588
O  0.185  0.028  0.590
Sc  0.675  0.333  0.184
O  0.808  0.971  0.414
O  0.147  0.644  0.074
O  0.630  0.141  0.425
O  0.459  0.153  0.244
O  0.485  0.117  0.643
O  0.346  0.848  0.575
Si  0.040  0.664  0.418
O  0.686  0.538  0.244
O  0.495  0.644  0.575
O  0.523  0.826  0.757
Nb  0.335  0.667  0.815
Nb  0.332  0.671  0.019
Nb  0.999  0.001  0.856
Na  0.683  0.338  0.330
O  0.505  0.144  0.924
Si  0.000  0.709  0.752
Na  0.635  0.627  0.747
O  0.178  0.975  0.198
Si  0.376  0.043  0.584
O  0.163  0.974  0.910

Computed properties:
- Total magnetic moment: 0.0 μB/cell
- Formation energy: -2929 meV per atom
- Mass density: 3.0 g/cm3
- Final energy: -7.546 eV per atom